First-principles (PBE) data for a relaxed structure of SnH4Cl2O2, as listed in the Materials Project database.

```
SnH4Cl2O2
1.0
7.223 0.000 0.000
0.000 8.998 0.000
0.000 3.793 8.436
H O Cl Sn
16 8 8 4
Cartesian
1.815 6.382 0.080 H
5.427 10.909 8.356 H
0.218 7.058 7.579 H
3.830 1.235 0.857 H
1.450 7.971 8.016 H
2.104 5.435 1.319 H
5.774 4.821 0.419 H
1.508 0.935 1.319 H
5.716 11.856 7.117 H
7.005 5.734 0.857 H
5.408 6.410 8.356 H
2.162 12.470 8.016 H
5.061 0.322 0.419 H
1.796 1.883 0.080 H
3.394 11.557 7.579 H
5.119 7.357 7.117 H
6.001 5.679 0.898 O
5.748 7.205 7.865 O
2.136 1.088 0.571 O
1.222 7.113 7.538 O
1.476 5.587 0.571 O
2.390 11.612 7.538 O
5.087 11.704 7.865 O
4.834 1.180 0.898 O
3.627 5.359 5.841 Cl
0.061 4.380 6.050 Cl
3.672 3.913 2.386 Cl
7.209 9.859 5.841 Cl
3.597 7.433 2.595 Cl
3.551 8.879 6.050 Cl
7.163 8.412 2.386 Cl
0.015 2.933 2.595 Cl
5.380 5.629 3.205 Sn
5.455 10.128 3.205 Sn
1.844 7.163 5.231 Sn
1.768 2.663 5.231 Sn
```

Summary:
M_tot = 0.0 μB per cell
crystal system = monoclinic
symmetry = No. 14

First-principles (PBE) data for a relaxed structure of SnH7Cl3O4, as listed in the Materials Project database.

```
SnH7Cl3O4
1.0
6.536 0.000 0.000
0.000 9.954 0.000
0.000 9.098 12.762
H O Sn Cl
28 16 4 12
Cartesian
2.587 9.429 2.083 H
2.476 10.916 1.641 H
1.837 4.075 2.151 H
4.616 4.776 1.089 H
5.188 9.325 7.470 H
0.644 10.093 3.305 H
2.944 8.405 9.153 H
5.744 3.588 4.740 H
0.016 10.275 8.951 H
6.520 8.778 3.811 H
3.912 4.411 3.076 H
0.681 13.978 8.464 H
3.284 13.327 10.192 H
2.624 14.642 9.686 H
3.592 10.648 3.610 H
5.854 5.075 4.299 H
1.348 9.728 5.292 H
1.920 14.277 11.673 H
1.431 8.624 8.533 H
0.324 3.856 2.771 H
6.211 15.197 9.991 H
5.892 8.960 9.458 H
3.252 5.726 2.570 H
4.060 8.137 11.121 H
5.105 10.428 4.230 H
3.949 9.624 10.680 H
0.792 15.465 8.022 H
4.699 14.978 10.611 H
3.374 4.781 2.334 O
2.086 9.674 5.967 O
4.450 9.379 6.795 O
2.291 8.112 8.441 O
0.977 3.563 2.060 O
2.430 10.326 2.433 O
1.182 14.223 12.348 O
5.559 15.490 10.703 O
5.698 4.178 3.948 O
0.106 9.723 4.047 O
3.162 14.272 10.429 O
6.430 9.330 8.715 O
5.354 4.830 0.414 O
4.245 10.941 4.322 O
0.838 14.875 8.814 O
4.106 8.727 10.329 O
0.214 3.281 0.040 Sn
6.321 15.772 12.722 Sn
3.053 7.830 6.421 Sn
3.482 11.223 6.341 Sn
5.556 12.401 6.767 Cl
5.864 12.071 10.554 Cl
1.028 17.578 11.787 Cl
4.296 6.024 7.356 Cl
2.240 13.029 5.406 Cl
5.507 1.475 0.975 Cl
2.596 11.531 8.589 Cl
4.248 7.852 0.385 Cl
0.671 6.982 2.208 Cl
3.939 7.522 4.173 Cl
0.980 6.652 5.996 Cl
2.288 11.201 12.377 Cl
```

Summary:
M_tot = 0.0 μB per cell
crystal system = monoclinic
symmetry = No. 14

First-principles (PBE) data for a relaxed structure of Sn21H14Cl16O20, as listed in the Materials Project database.

```
Sn21H14Cl16O20
1.0
-15.218 -0.704 5.071
-14.174 -6.909 -3.026
-10.953 -9.958 6.219
Cl O H Sn
16 20 14 21
Cartesian
-26.641 -7.957 4.784 Cl
-18.965 -9.929 7.598 Cl
-22.790 -13.775 5.310 Cl
-14.766 -8.609 0.431 Cl
-21.772 -5.316 3.701 Cl
-24.185 -11.986 8.207 Cl
-24.595 -8.460 7.802 Cl
-19.781 -11.112 1.096 Cl
-24.893 -13.035 2.518 Cl
-16.472 -4.821 6.061 Cl
-17.183 -6.002 0.076 Cl
-25.390 -9.461 1.794 Cl
-14.045 -7.587 6.124 Cl
-20.172 -8.786 4.132 Cl
-14.604 -10.196 3.748 Cl
-16.504 -3.540 2.726 Cl
-17.809 -9.374 -0.778 O
-26.111 -13.197 5.671 O
-34.126 -14.863 6.990 O
-19.326 -3.387 4.549 O
-17.587 -8.802 2.201 O
-24.741 -6.110 2.713 O
-12.833 -7.412 2.970 O
-22.392 -10.945 3.223 O
-21.734 -9.937 9.258 O
-13.710 -4.870 4.096 O
-14.061 -5.402 1.251 O
-15.800 -10.295 7.072 O
-27.342 -11.168 3.977 O
-17.185 -8.293 5.247 O
-6.219 -2.709 1.274 O
-21.625 -13.612 1.977 O
-23.338 -8.220 4.398 O
-18.502 -6.107 3.464 O
-26.978 -10.665 6.826 O
-22.031 -10.347 6.258 O
-13.936 -5.701 4.572 H
-14.811 -5.015 1.756 H
-18.377 -9.147 2.682 H
-26.526 -11.617 3.660 H
-22.368 -8.046 4.435 H
-19.264 -6.734 3.482 H
-33.250 -14.481 6.810 H
-21.653 -10.296 3.140 H
-21.211 -10.068 5.786 H
-18.162 -8.423 5.266 H
-26.731 -9.960 6.186 H
-7.095 -3.090 1.453 H
-25.505 -12.726 6.286 H
-13.526 -7.695 2.331 H
-21.668 -11.749 7.943 Sn
-12.275 -5.346 2.514 Sn
-11.809 -9.147 3.761 Sn
-14.452 -5.259 -0.873 Sn
-16.583 -7.222 3.397 Sn
-37.575 -16.365 7.696 Sn
-16.615 -10.296 0.876 Sn
-19.678 -4.922 6.054 Sn
-23.218 -7.116 1.523 Sn
-28.070 -12.225 5.749 Sn
-18.955 -4.167 2.482 Sn
-16.976 -11.351 5.573 Sn
-23.762 -10.349 4.867 Sn
-22.947 -11.931 1.313 Sn
-16.259 -8.111 7.258 Sn
-24.590 -6.462 4.920 Sn
-20.203 -13.090 3.543 Sn
-2.770 -1.206 0.567 Sn
-14.084 -3.165 5.376 Sn
-19.518 -8.192 -0.122 Sn
-21.442 -8.044 8.220 Sn
```

Summary:
M_tot = 0.0 μB per cell
crystal system = trigonal
symmetry = No. 155

First-principles (PBE) data for a relaxed structure of SrHClO, as listed in the Materials Project database.

```
SrHClO
1.0
-0.276 2.060 3.630
-3.476 -1.089 -2.056
-0.188 -8.771 4.963
H Cl Sr O
2 2 2 2
Cartesian
-0.161 -7.545 4.270 H
-0.068 -3.160 1.788 H
-2.411 -0.132 -0.108 Cl
-1.438 -3.468 4.269 Cl
-2.540 -6.155 3.300 Sr
-1.379 -0.720 2.713 Sr
-0.049 -2.310 1.307 O
-0.143 -6.696 3.789 O
```

Summary:
M_tot = 0.0 μB per cell
crystal system = hexagonal
largest piezoelectric modulus = 0.5 C/m²
symmetry = No. 186

First-principles (PBE) data for a relaxed structure of SrH4Cl2O2, as listed in the Materials Project database.

```
SrH4Cl2O2
1.0
1.899 -1.391 -6.325
4.033 4.058 -3.581
6.084 -2.761 0.750
Cl Sr O H
4 2 4 8
Cartesian
5.798 1.343 -8.601 Cl
6.217 -1.437 -0.554 Cl
9.240 0.984 -7.712 Cl
2.775 -1.078 -1.444 Cl
3.968 -0.682 -5.433 Sr
8.047 0.588 -3.723 Sr
5.373 0.179 -3.291 O
3.948 1.997 -5.792 O
8.067 -2.091 -3.363 O
6.642 -0.273 -5.865 O
9.962 -0.559 -6.009 H
4.830 2.390 -5.527 H
7.038 -1.119 -6.224 H
6.745 0.372 -6.610 H
5.270 -0.466 -2.545 H
2.053 0.465 -3.146 H
7.185 -2.484 -3.628 H
4.977 1.025 -2.931 H
```

Summary:
M_tot = 0.0 μB per cell
crystal system = monoclinic
symmetry = No. 15

First-principles (PBE) data for a relaxed structure of TbH2ClO2, as listed in the Materials Project database.

```
TbH2ClO2
1.0
1.112 -3.455 -0.794
-0.560 1.207 -6.037
6.215 1.521 2.089
O H Cl Tb
4 4 2 2
Cartesian
0.970 0.062 -3.258 O
0.860 -1.378 -5.839 O
5.908 0.651 1.097 O
5.798 -0.789 -1.485 O
1.733 -1.185 -5.455 H
5.035 0.458 0.712 H
4.990 -1.145 -1.067 H
1.777 0.418 -3.676 H
3.938 -0.814 -3.984 Cl
2.830 0.087 -0.759 Cl
5.345 1.320 -2.604 Tb
1.423 -2.047 -2.139 Tb
```

Summary:
M_tot = 0.0 μB per cell
crystal system = monoclinic
symmetry = No. 11

First-principles (PBE) data for a relaxed structure of UH14Cl3O7, as listed in the Materials Project database.

```
UH14Cl3O7
1.0
7.638 -0.018 2.314
0.403 7.791 2.822
-0.026 0.029 9.370
O U H Cl
14 2 28 6
Cartesian
7.629 4.510 6.887 O
4.962 5.094 7.451 O
4.027 1.760 9.697 O
7.479 7.192 7.902 O
3.987 6.042 4.809 O
3.809 7.731 10.417 O
3.052 2.708 7.055 O
4.205 0.071 4.090 O
1.828 3.536 10.121 O
1.854 0.657 1.906 O
6.187 4.266 4.385 O
0.385 3.292 7.619 O
0.535 0.610 6.605 O
6.161 7.145 12.601 O
6.318 6.386 5.742 U
1.697 1.416 8.764 U
6.640 0.133 5.602 H
3.780 7.455 7.259 H
3.581 5.259 4.385 H
2.193 3.650 11.028 H
4.434 2.543 10.121 H
5.187 5.028 8.413 H
4.235 0.347 7.247 H
5.909 6.440 11.948 H
5.822 4.152 3.478 H
0.057 1.178 5.948 H
0.877 4.118 7.397 H
7.957 6.624 8.558 H
3.993 6.773 10.547 H
7.138 3.684 7.109 H
0.970 0.309 2.196 H
4.034 2.600 7.086 H
6.349 3.369 4.742 H
4.022 1.029 3.959 H
3.980 5.202 7.420 H
0.865 4.220 4.229 H
7.149 3.582 10.277 H
2.828 2.775 6.093 H
1.374 7.669 8.904 H
1.665 4.433 9.764 H
2.105 1.362 2.558 H
3.326 6.775 4.802 H
7.045 7.493 12.310 H
4.689 1.027 9.704 H
1.928 6.095 7.681 Cl
2.725 2.982 3.880 Cl
5.290 4.820 10.627 Cl
1.407 6.421 11.894 Cl
6.086 1.707 6.825 Cl
6.608 1.381 2.613 Cl
```

Summary:
M_tot = 6.0 μB per cell
crystal system = triclinic
symmetry = No. 2

First-principles (PBE) data for a relaxed structure of YH12Cl3O6, as listed in the Materials Project database.

```
YH12Cl3O6
1.0
-5.653 -2.904 -1.543
3.651 -4.110 -5.641
5.247 -10.809 1.118
H O Cl Y
24 12 6 2
Cartesian
0.299 -13.014 -1.784 H
2.719 -14.748 -3.099 H
-1.313 -4.867 -4.554 H
3.213 -9.294 -3.476 H
5.859 -11.027 -3.128 H
1.206 -6.627 -5.030 H
4.678 -9.802 -1.105 H
2.964 -7.870 -2.874 H
-2.614 -6.795 -2.938 H
0.808 -8.074 -0.176 H
-0.268 -5.628 -1.509 H
2.946 -4.808 -4.283 H
4.558 -12.956 -1.512 H
0.032 -8.528 -2.590 H
3.513 -12.194 -4.558 H
2.039 -11.195 -1.036 H
-2.407 -2.973 -0.896 H
2.437 -9.749 -5.891 H
-1.433 -8.020 -4.961 H
0.281 -9.952 -3.192 H
0.526 -3.074 -2.968 H
0.952 -12.584 -4.984 H
2.293 -5.238 -1.082 H
5.652 -14.850 -5.170 H
1.801 -6.686 -5.816 O
3.070 -8.350 -3.732 O
-0.340 -5.300 -0.580 O
1.444 -11.136 -0.250 O
-0.140 -2.881 -2.262 O
1.101 -13.558 -4.854 O
-0.321 -12.283 -2.043 O
3.585 -12.522 -5.487 O
3.566 -5.539 -4.024 O
3.385 -14.941 -3.804 O
0.174 -9.472 -2.334 O
2.144 -4.265 -1.213 O
6.927 -13.960 -3.711 Cl
3.687 -11.227 -2.548 Cl
-3.682 -3.862 -2.355 Cl
0.529 -10.495 -5.301 Cl
2.716 -7.328 -0.766 Cl
-0.442 -6.595 -3.518 Cl
-0.841 -10.560 -0.465 Y
0.435 -3.153 0.040 Y
```

Summary:
crystal system = monoclinic
symmetry = No. 13

First-principles (PBE) data for a relaxed structure of ZnH6Cl2O3, as listed in the Materials Project database.

```
ZnH6Cl2O3
1.0
6.718 0.000 0.000
-0.821 6.698 0.000
-2.745 -0.449 14.153
O Zn H Cl
12 4 24 8
Cartesian
2.144 5.229 0.568 O
0.775 2.413 8.921 O
2.118 3.705 13.915 O
1.035 2.544 0.238 O
3.383 2.895 2.008 O
-0.230 3.354 12.145 O
3.317 3.770 8.023 O
-0.164 2.479 6.129 O
0.727 5.043 7.459 O
1.009 1.020 13.585 O
2.378 3.836 5.232 O
2.426 1.206 6.694 O
2.949 3.349 0.000 Zn
3.787 0.335 10.745 Zn
-0.634 5.914 3.408 Zn
1.576 3.124 7.076 Zn
0.627 5.345 8.389 H
-0.050 5.375 6.955 H
0.170 4.167 11.760 H
-1.173 3.337 11.869 H
4.379 0.978 0.005 H
1.388 2.307 9.677 H
-1.896 1.178 14.087 H
-1.226 5.271 14.148 H
3.455 4.743 8.119 H
-0.302 1.506 6.034 H
2.147 5.647 1.455 H
3.493 3.391 8.918 H
0.169 1.643 8.929 H
-0.340 2.858 5.235 H
4.326 2.912 2.284 H
2.984 4.606 5.224 H
1.765 3.942 4.476 H
1.006 0.602 12.698 H
0.545 2.708 1.071 H
2.526 0.904 5.764 H
2.608 3.541 13.082 H
5.049 5.071 0.066 H
3.203 0.874 7.198 H
2.983 2.082 2.393 H
4.851 0.133 8.735 Cl
3.430 2.630 10.992 Cl
5.799 0.061 1.618 Cl
-2.646 6.188 12.535 Cl
2.286 0.164 3.512 Cl
-1.698 6.116 5.417 Cl
-0.277 3.619 3.161 Cl
0.867 6.085 10.641 Cl
```

Summary:
M_tot = 0.0 μB per cell
crystal system = triclinic
symmetry = No. 2

Total energy readings, ordered: -161.67, -275.37, -339.87, -40.83, -85.06, -71.46, -255.14, -221.49, -210.75 eV for the cell shown
Energy of formation from the pure elements readings, ordered: -1.18, -1.23, -1.32, -2.31, -1.67, -2.32, -1.34, -1.48, -1.22 eV/atom